[1]
Here is crystalline Al3Pt2 at its relaxed geometry from Materials Project. Energies are from PBE-GGA.

POSCAR file:
```
Al3Pt2
1.0
4.1300 0.0000 0.0000
-2.0650 3.5767 0.0000
0.0000 0.0000 11.1313
Al Pt
6 4
Direct
0.0000 0.0000 0.0000
0.0000 0.0000 0.2268
0.0000 0.0000 0.5000
0.0000 0.0000 0.7732
0.3333 0.6667 0.3339
0.6667 0.3333 0.6661
0.3333 0.6667 0.1030
0.3333 0.6667 0.5878
0.6667 0.3333 0.4122
0.6667 0.3333 0.8970
```

Computed properties:
**Formation energy from the elements**: -61.6 kJ/mol of atoms

---

[2]
Here is crystalline LiO at its relaxed geometry from Materials Project. Energies are from PBE-GGA.

POSCAR file:
```
LiO
1.0
2.6716 0.0000 0.0000
0.0000 2.6716 0.0000
0.0000 0.0000 2.1319
Li O
1 1
Direct
0.0000 0.0000 0.0000
0.5000 0.5000 0.5000
```

Computed properties:
**Formation energy from the elements**: -133.3 kJ/mol of atoms

---

[3]
Here is crystalline CeZnCo2 at its relaxed geometry from Materials Project. Energies are from PBE-GGA.

POSCAR file:
```
CeZnCo2
1.0
5.1734 0.0000 0.0000
-2.5867 4.4803 0.0000
0.0000 0.0000 15.8556
Ce Zn Co
6 6 12
Direct
0.3333 0.6667 0.0456
0.3333 0.6667 0.2500
0.3333 0.6667 0.4544
0.6667 0.3333 0.5456
0.6667 0.3333 0.7500
0.6667 0.3333 0.9544
0.0000 0.0000 0.0000
0.0000 0.0000 0.2500
0.0000 0.0000 0.5000
0.0000 0.0000 0.7500
0.3333 0.6667 0.7500
0.6667 0.3333 0.2500
0.1683 0.3365 0.6245
0.1683 0.3365 0.8755
0.1683 0.8317 0.6245
0.1683 0.8317 0.8755
0.3365 0.1683 0.1245
0.3365 0.1683 0.3755
0.6635 0.8317 0.6245
0.6635 0.8317 0.8755
0.8317 0.1683 0.1245
0.8317 0.1683 0.3755
0.8317 0.6635 0.1245
0.8317 0.6635 0.3755
```

Computed properties:
**Formation energy from the elements**: -19.0 kJ/mol of atoms

---

[4]
Here is crystalline H at its relaxed geometry from Materials Project. Energies are from PBE-GGA.

POSCAR file:
```
H
1.0
4.8416 0.0000 0.0000
0.0000 4.7987 0.0000
0.0000 0.0000 3.7574
H
8
Direct
0.0000 0.0525 0.0739
0.0000 0.4475 0.5739
0.0000 0.5525 0.4261
0.0000 0.9475 0.9261
0.5000 0.0525 0.4261
0.5000 0.4475 0.9261
0.5000 0.5525 0.0739
0.5000 0.9475 0.5739
```

Computed properties:
**Formation energy from the elements**: 0.3 kJ/mol of atoms

---

Among the records above, which one has the highest formation energy from the elements?
H

---

Which of these has the lowest formation energy from the elements?
LiO